Record 1
Density functional theory data (PBE) for crystalline Nd3In at its relaxed geometry.

```
8
Lattice="-5.3089 3.3667 -3.5220 -1.5111 -4.1004 5.7295 0.6059 4.4663 3.3562" Properties=species:S:1:pos:R:3 pbc="T T T"
Nd -4.1854 5.4008 0.6252
Nd -1.3164 0.2649 2.2375
Nd -4.5315 -0.0810 3.2782
Nd -2.0287 -1.6682 4.9385
Nd -1.6826 3.8137 2.2855
Nd -4.8977 3.4678 3.3262
In -3.8915 1.9943 0.4009
In -2.3226 1.7384 5.1628
```

Output
Crystal system = hexagonal
Total energy = -4.524 eV per atom

***

Record 2
Density functional theory data (PBE) for crystalline Cs2ScAuCl6 at its relaxed geometry.

```
10
Lattice="0.0000 5.3035 5.3035 5.3035 0.0000 5.3035 5.3035 5.3035 0.0000" Properties=species:S:1:pos:R:3 pbc="T T T"
Sc 0.0000 0.0000 0.0000
Cl 5.3035 2.5165 5.3035
Cl 5.3035 5.3035 2.5165
Cl 5.3035 5.3035 8.0906
Cl 5.3035 8.0906 5.3035
Cl 8.0906 5.3035 5.3035
Cl 2.5165 5.3035 5.3035
Cs 7.9553 7.9553 7.9553
Cs 2.6518 2.6518 2.6518
Au 5.3035 5.3035 5.3035
```

Output
Energy with MP2020 corrections = -4.26 eV/atom
Crystal system = cubic
Total energy = -3.895 eV per atom

***

Record 3
Density functional theory data (PBE) for crystalline LiMgSbPt at its relaxed geometry.

```
4
Lattice="-3.2693 -3.2693 0.0000 -3.2693 0.0000 -3.2693 0.0000 -3.2693 -3.2693" Properties=species:S:1:pos:R:3 pbc="T T T"
Sb 0.0000 0.0000 0.0000
Pt -4.9040 -4.9040 -4.9040
Li -1.6347 -1.6347 -1.6347
Mg -3.2693 -3.2693 -3.2693
```

Output
Crystal system = cubic
Total energy = -4.030 eV per atom

***

Going through the records in order, we get DFT formation energy values of -0.260; -2.014; -0.603 eV per atom.